# Li2V3WO8

A geometry-optimized Li2V3WO8 structure (GGA+U, the Materials Project).

a b c (Å): 6.2117 6.1075 6.1015
angles (deg): 59.59 58.72 58.72
Last column: nearest neighbours and their distance in Å.
Fractional positions:
1 V 0.5000 0.5000 0.0000  6 O 2.02-2.13
2 V 0.5000 0.0000 0.5000  6 O 2.03-2.12
3 V 0.0000 0.5000 0.5000  6 O 2.03-2.09
4 O 0.2620 0.7169 0.2666  1 Li 2.03, 1 W 2.05, 2 V 2.06-2.09
5 O 0.7190 0.2682 0.2691  1 W 1.97, 1 Li 2.07, 2 V 2.12-2.13
6 O 0.7380 0.2831 0.7334  1 Li 2.03, 1 W 2.05, 2 V 2.06-2.09
7 O 0.2725 0.2621 0.2617  3 V 2.02-2.03, 1 Li 2.06
8 O 0.7379 0.7333 0.2834  1 Li 2.03, 1 W 2.05, 2 V 2.06-2.08
9 O 0.2621 0.2667 0.7166  1 Li 2.03, 1 W 2.05, 2 V 2.06-2.08
10 O 0.7275 0.7379 0.7383  3 V 2.02-2.03, 1 Li 2.06
11 O 0.2810 0.7318 0.7309  1 W 1.97, 1 Li 2.07, 2 V 2.12-2.13
12 Li 0.1338 0.1279 0.1278  4 O 2.03-2.07
13 Li 0.8662 0.8721 0.8722  4 O 2.03-2.07
14 W 0.5000 0.5000 0.5000  6 O 1.97-2.05

Properties
- SG = C2/m, No. 12
- crystal system = monoclinic
- total energy after the MP2020 corrections (eV/atom) = -8.39
- energy relative to the elements (eV/atom) = -2.42
- M_tot (μB per cell) = 7.0

***

# Ba3La7Ti3Cr7O30

A geometry-optimized Ba3La7Ti3Cr7O30 structure (GGA+U, the Materials Project).

a b c (Å): 5.6087 7.9528 14.8225
angles (deg): 105.44 100.80 90.46
Last column: nearest neighbours and their distance in Å.
Fractional positions:
1 Ti 0.9985 0.0013 0.0003  6 O 1.95-2.03
2 Ti 0.4029 0.3929 0.7973  6 O 1.93-2.01
3 Ti 0.0060 0.4989 0.0039  6 O 1.91-2.04
4 O 0.0757 0.8959 0.7076  2 Cr 2.01
5 O 0.7161 0.9469 0.8933  1 Ti 1.97, 1 Cr 2.04
6 O 0.9944 0.2471 0.9907  2 Ti 1.96-2.00
7 O 0.4679 0.2889 0.5141  2 Cr 1.99-2.01
8 O 0.8381 0.5435 0.1135  1 Ti 1.98, 1 Cr 2.04
9 O 0.0533 0.7289 0.5156  2 Cr 1.99-2.01
10 O 0.5304 0.7125 0.4825  2 Cr 2.00-2.01
11 O 0.9570 0.2696 0.4844  2 Cr 2.00
12 O 0.5814 0.8474 0.1949  2 Cr 1.99
13 O 0.1825 0.4379 0.3766  2 Cr 2.02
14 O 0.3032 0.5319 0.0961  1 Ti 1.91, 1 Cr 2.03
15 O 0.8688 0.6864 0.3174  2 Cr 2.00-2.01
16 O 0.6240 0.3166 0.7065  1 Ti 1.98, 1 Cr 2.02
17 O 0.0101 0.7564 0.0142  2 Ti 2.01
18 O 0.8031 0.5537 0.6078  2 Cr 2.00-2.01
19 O 0.9350 0.1117 0.2876  2 Cr 1.99-2.01
20 O 0.5583 0.8684 0.6838  2 Cr 2.02-2.03
21 O 0.1221 0.3174 0.6877  1 Ti 2.00, 1 Cr 2.03
22 O 0.6957 0.4576 0.9030  2 Ti 2.00-2.03
23 O 0.3895 0.6330 0.7780  1 Ti 2.01, 1 Cr 2.07
24 O 0.7981 0.0611 0.0976  1 Ti 1.95, 1 Cr 2.02
25 O 0.6250 0.3629 0.2255  2 Cr 2.02
26 O 0.4461 0.1377 0.3167  2 Cr 2.01
27 O 0.4039 0.1545 0.8055  1 Ti 1.93, 1 Cr 1.99
28 O 0.2178 0.9616 0.4238  2 Cr 2.01
29 O 0.2771 0.0751 0.1144  1 Ti 2.03, 1 Cr 2.03
30 O 0.1829 0.4454 0.8917  2 Ti 2.00-2.04
31 O 0.2060 0.9486 0.9057  1 Ti 1.95, 1 Cr 2.04
32 O 0.3478 0.6643 0.2850  2 Cr 1.99-2.00
33 O 0.7885 0.0357 0.5712  2 Cr 2.01-2.02
34 Cr 0.3949 0.9004 0.7972  6 O 1.99-2.07
35 Cr 0.2005 0.7003 0.4005  6 O 1.99-2.02
36 Cr 0.8008 0.7988 0.5965  6 O 2.00-2.03
37 Cr 0.6066 0.1010 0.2033  6 O 1.99-2.03
38 Cr 0.5995 0.6026 0.2038  6 O 1.99-2.04
39 Cr 0.7975 0.2968 0.5968  6 O 2.00-2.03
40 Cr 0.2014 0.2000 0.4012  6 O 1.99-2.02
41 Ba 0.5019 0.2486 0.0017  11 O 2.69-2.94
42 Ba 0.5025 0.7519 0.0014  9 O 2.71-2.92
43 Ba 0.8998 0.6492 0.7965  9 O 2.64-2.91
44 La 0.3036 0.5495 0.5967  3 O 2.40-2.54
45 La 0.7042 0.4518 0.4042  3 O 2.40-2.50
46 La 0.6990 0.9502 0.3968  3 O 2.41-2.45
47 La 0.8985 0.1449 0.7998  4 O 2.42-2.68
48 La 0.2961 0.0459 0.5991  5 O 2.45-2.72
49 La 0.1096 0.8530 0.2017  5 O 2.43-2.71
50 La 0.1008 0.3505 0.2055  3 O 2.40-2.60

Properties
- SG = P1, No. 1
- crystal system = triclinic
- total energy after the MP2020 corrections (eV/atom) = -8.86
- energy relative to the elements (eV/atom) = -3.26
- M_tot (μB per cell) = 21.0

***

# BaVO3

A geometry-optimized BaVO3 structure (GGA+U, the Materials Project).

a b c (Å): 5.7779 5.7779 11.7410
angles (deg): 90.00 90.00 120.00
Last column: nearest neighbours and their distance in Å.
Fractional positions:
1 Ba 0.6667 0.3333 0.5944  12 O 2.89-2.94
2 Ba 0.0000 0.0000 0.0000  12 O 2.88-2.89
3 Ba 0.3333 0.6667 0.7900  12 O 2.88-2.98
4 Ba 0.6667 0.3333 0.2100  12 O 2.88-2.98
5 Ba 0.3333 0.6667 0.4056  12 O 2.89-2.94
6 O 0.6672 0.8336 0.1998  2 V 1.89-2.10
7 O 0.5000 0.5000 0.0000  2 V 1.99
8 O 0.7000 0.8500 0.6005  2 V 1.91-2.08
9 O 0.8336 0.6672 0.8002  2 V 1.89-2.10
10 O 0.1500 0.8500 0.6005  2 V 1.91-2.08
11 O 0.1664 0.3328 0.1998  2 V 1.89-2.10
12 O 0.3000 0.1500 0.3995  2 V 1.91-2.08
13 O 0.1664 0.8336 0.1998  2 V 1.89-2.10
14 O 0.0000 0.5000 0.0000  2 V 1.99
15 O 0.8500 0.7000 0.3995  2 V 1.91-2.08
16 O 0.8336 0.1664 0.8002  2 V 1.89-2.10
17 O 0.1500 0.3000 0.6005  2 V 1.91-2.08
18 O 0.3328 0.1664 0.8002  2 V 1.89-2.10
19 O 0.5000 0.0000 0.0000  2 V 1.99
20 O 0.8500 0.1500 0.3995  2 V 1.91-2.08
21 V 0.6667 0.3333 0.9083  6 O 1.99-2.10
22 V 0.0000 0.0000 0.7234  6 O 1.89-2.08
23 V 0.0000 0.0000 0.5000  6 O 1.91
24 V 0.0000 0.0000 0.2766  6 O 1.89-2.08
25 V 0.3333 0.6667 0.0917  6 O 1.99-2.10

Properties
- SG = P-3m1, No. 164
- crystal system = trigonal
- total energy after the MP2020 corrections (eV/atom) = -8.00
- energy relative to the elements (eV/atom) = -2.83
- M_tot (μB per cell) = 5.0